# LiFeF4 | Materials Project | r²SCAN | relaxed
data_LiFeF4
_cell_length_a 3.036
_cell_length_b 6.355
_cell_length_c 6.609
_cell_angle_alpha 90.00
_cell_angle_beta 90.00
_cell_angle_gamma 90.00
_space_group_name_H-M_alt 'A m m 2'
_space_group_IT_number 38
loop_
_space_group_symop_operation_xyz
'x,y,z'
'-x,-y,z'
'-x,y,z'
'x,-y,z'
'x,y+1/2,z+1/2'
'-x,-y+1/2,z+1/2'
'-x,y+1/2,z+1/2'
'x,-y+1/2,z+1/2'
loop_
_atom_site_label
_atom_site_type_symbol
_atom_site_fract_x
_atom_site_fract_y
_atom_site_fract_z
Li1 Li 0.000 0.000 0.000
Fe1 Fe 0.500 0.000 0.499
F1 F 0.000 0.000 0.305
F2 F 0.000 0.000 0.693
F3 F 0.500 0.204 0.999
# Calculated volume in Å³/f.u.: 63.8
# Total magnetization in μB/cell: 10.0
# E_tot in eV/atom: -7.657
# ρ in kg/m³: 3614
# Crystal system: orthorhombic